1.
A relaxed Sr2Y2Cu2O7 crystal, computed with PBE.

```
data_Sr2Y2Cu2O7
_space_group_name_H-M_alt 'P 1'
_space_group_IT_number 1
_cell_length_a 12.9818
_cell_length_b 12.9818
_cell_length_c 12.9818
_cell_angle_alpha 155.93
_cell_angle_beta 155.81
_cell_angle_gamma 34.38
loop_
_space_group_symop_operation_xyz
'x,y,z'
loop_
_atom_site_label
_atom_site_type_symbol
_atom_site_fract_x
_atom_site_fract_y
_atom_site_fract_z
O1 O 0.7981 0.2716 0.4008
O2 O 0.3020 0.7873 0.9744
O3 O 0.6293 0.1027 0.4008
O4 O 0.8155 0.2823 0.9749
O5 O 0.2019 0.6027 0.4734
O6 O 0.6871 0.1724 0.9744
O7 O 0.3707 0.7716 0.4734
O8 O 0.8074 0.7823 0.4668
O9 O 0.8149 0.6690 0.9839
O10 O 0.1851 0.1690 0.8541
O11 O 0.1845 0.1594 0.4668
O12 O 0.6980 0.6724 0.4854
O13 O 0.1926 0.6594 0.9749
O14 O 0.3129 0.2873 0.4854
Sr1 Sr 0.8474 0.8336 0.9646
Sr2 Sr 0.1526 0.1172 0.9862
Sr3 Sr 0.6310 0.6172 0.9646
Sr4 Sr 0.3690 0.3336 0.9862
Y1 Y 0.2128 0.7570 0.4698
Y2 Y 0.0000 0.9779 0.9779
Y3 Y 0.7872 0.2570 0.5442
Y4 Y 0.5000 0.4779 0.9779
Cu1 Cu 0.5673 0.0422 0.4746
Cu2 Cu 0.4327 0.9074 0.4750
Cu3 Cu 0.0676 0.5422 0.4750
Cu4 Cu 0.9324 0.4074 0.4746
```

uncorrected energy: -6.89 eV/atom
density: 5.39 Mg/m³
ΔE_f: -2.71 eV/atom
crystal system: orthorhombic
space-group type: Ima2, No. 46
total magnetic moment: 0.001 μB per formula unit


2.
A relaxed Sr9Zn2Cu2O14 crystal, computed with PBE.

```
data_Sr9Zn2Cu2O14
_space_group_name_H-M_alt 'P 1'
_space_group_IT_number 1
_cell_length_a 11.3528
_cell_length_b 11.3528
_cell_length_c 11.3641
_cell_angle_alpha 81.52
_cell_angle_beta 81.52
_cell_angle_gamma 18.53
loop_
_space_group_symop_operation_xyz
'x,y,z'
loop_
_atom_site_label
_atom_site_type_symbol
_atom_site_fract_x
_atom_site_fract_y
_atom_site_fract_z
Sr1 Sr 0.6944 0.6944 0.4275
Sr2 Sr 0.3213 0.3213 0.8755
Sr3 Sr 0.3075 0.3075 0.5811
Sr4 Sr 0.4961 0.4961 0.5005
Sr5 Sr 0.5152 0.5152 0.1746
Sr6 Sr 0.6793 0.6793 0.0831
Sr7 Sr 0.3087 0.3087 0.2177
Sr8 Sr 0.6816 0.6816 0.7880
Sr9 Sr 0.4819 0.4819 0.8058
Cu1 Cu 0.8923 0.8923 0.3748
Cu2 Cu 0.1054 0.1054 0.6217
Zn1 Zn 0.1102 0.1102 0.2980
Zn2 Zn 0.8951 0.8951 0.0444
O1 O 0.9113 0.9113 0.8727
O2 O 0.0251 0.0251 0.6449
O3 O 0.8106 0.8106 0.4015
O4 O 0.2008 0.2008 0.2756
O5 O 0.4174 0.4174 0.1006
O6 O 0.4037 0.4037 0.6540
O7 O 0.7902 0.7902 0.7287
O8 O 0.8034 0.8034 0.0735
O9 O 0.5919 0.5919 0.3649
O10 O 0.5772 0.5772 0.9119
O11 O 0.9725 0.9725 0.3529
O12 O 0.0888 0.0888 0.1392
O13 O 0.2053 0.2053 0.9256
O14 O 0.1872 0.1872 0.5981
```

uncorrected energy: -5.51 eV/atom
density: 4.58 Mg/m³
ΔE_f: -2.34 eV/atom
crystal system: monoclinic
space-group type: Cm, No. 8
total magnetic moment: 4.004 μB per formula unit


3.
A relaxed Ta16Cu9O48 crystal, computed with PBE.

```
data_Ta16Cu9O48
_space_group_name_H-M_alt 'P 1'
_space_group_IT_number 1
_cell_length_a 10.7612
_cell_length_b 10.7468
_cell_length_c 10.7377
_cell_angle_alpha 60.12
_cell_angle_beta 59.98
_cell_angle_gamma 59.90
loop_
_space_group_symop_operation_xyz
'x,y,z'
loop_
_atom_site_label
_atom_site_type_symbol
_atom_site_fract_x
_atom_site_fract_y
_atom_site_fract_z
O1 O 0.9974 0.5013 0.1883
O2 O 0.2554 0.5629 0.9359
O3 O 0.0612 0.9388 0.2559
O4 O 0.7441 0.2559 0.9388
O5 O 0.9388 0.0612 0.7441
O6 O 0.4998 0.6882 0.5002
O7 O 0.0029 0.2022 0.9971
O8 O 0.5002 0.3118 0.4998
O9 O 0.2463 0.0630 0.2533
O10 O 0.2430 0.7570 0.4376
O11 O 0.4987 0.0026 0.6871
O12 O 0.7537 0.9370 0.7467
O13 O 0.6871 0.8117 0.4987
O14 O 0.7001 0.9946 0.0054
O15 O 0.7570 0.2430 0.5624
O16 O 0.4944 0.2015 0.7985
O17 O 0.5624 0.4376 0.7570
O18 O 0.2458 0.9359 0.5629
O19 O 0.8117 0.6871 0.0026
O20 O 0.2015 0.4944 0.5056
O21 O 0.0054 0.2999 0.7001
O22 O 0.5629 0.2554 0.2458
O23 O 0.2559 0.7441 0.0612
O24 O 0.3118 0.5002 0.6882
O25 O 0.0630 0.2463 0.4374
O26 O 0.2533 0.4374 0.2463
O27 O 0.9971 0.7978 0.0029
O28 O 0.6882 0.4998 0.3118
O29 O 0.9946 0.7001 0.2999
O30 O 0.7985 0.5056 0.4944
O31 O 0.3129 0.1883 0.5013
O32 O 0.2999 0.0054 0.9946
O33 O 0.4374 0.2533 0.0630
O34 O 0.7446 0.4371 0.0641
O35 O 0.1883 0.3129 0.9974
O36 O 0.2022 0.0029 0.7978
O37 O 0.5626 0.7467 0.9370
O38 O 0.4371 0.7446 0.7542
O39 O 0.9370 0.7537 0.5626
O40 O 0.7467 0.5626 0.7537
O41 O 0.9359 0.2458 0.2554
O42 O 0.0026 0.4987 0.8117
O43 O 0.0641 0.7542 0.7446
O44 O 0.5056 0.7985 0.2015
O45 O 0.7542 0.0641 0.4371
O46 O 0.5013 0.9974 0.3129
O47 O 0.7978 0.9971 0.2022
O48 O 0.4376 0.5624 0.2430
Ta1 Ta 0.1232 0.6247 0.6229
Ta2 Ta 0.6302 0.1209 0.1233
Ta3 Ta 0.8767 0.8744 0.3698
Ta4 Ta 0.6247 0.1232 0.6292
Ta5 Ta 0.8791 0.3698 0.8744
Ta6 Ta 0.3708 0.3771 0.3753
Ta7 Ta 0.6229 0.6292 0.1232
Ta8 Ta 0.1256 0.1233 0.1209
Ta9 Ta 0.3753 0.8768 0.3708
Ta10 Ta 0.6292 0.6229 0.6247
Ta11 Ta 0.1233 0.1256 0.6302
Ta12 Ta 0.3771 0.3708 0.8768
Ta13 Ta 0.3698 0.8791 0.8767
Ta14 Ta 0.1209 0.6302 0.1256
Ta15 Ta 0.8744 0.8767 0.8791
Ta16 Ta 0.8768 0.3753 0.3771
Cu1 Cu 0.7486 0.2514 0.2514
Cu2 Cu 0.7500 0.7500 0.7500
Cu3 Cu 0.2500 0.2500 0.2500
Cu4 Cu 0.7503 0.2497 0.7503
Cu5 Cu 0.0000 0.5000 0.0000
Cu6 Cu 0.2514 0.7486 0.7486
Cu7 Cu 0.2497 0.7503 0.2497
Cu8 Cu 0.5000 0.0000 0.5000
Cu9 Cu 0.5000 0.5000 0.5000
```

uncorrected energy: -8.65 eV/atom
density: 8.01 Mg/m³
ΔE_f: -2.74 eV/atom
crystal system: orthorhombic
space-group type: Fmmm, No. 69
total magnetic moment: 4.216 μB per formula unit


4.
A relaxed TaCuO3 crystal, computed with PBE.

```
data_TaCuO3
_space_group_name_H-M_alt 'P 1'
_space_group_IT_number 1
_cell_length_a 6.4391
_cell_length_b 6.4391
_cell_length_c 6.8232
_cell_angle_alpha 89.83
_cell_angle_beta 89.83
_cell_angle_gamma 83.94
loop_
_space_group_symop_operation_xyz
'x,y,z'
loop_
_atom_site_label
_atom_site_type_symbol
_atom_site_fract_x
_atom_site_fract_y
_atom_site_fract_z
O1 O 0.4692 0.7896 0.1114
O2 O 0.0670 0.7380 0.2595
O3 O 0.2104 0.5308 0.8886
O4 O 0.7896 0.4692 0.1114
O5 O 0.6776 0.6776 0.4834
O6 O 0.8708 0.8708 0.9450
O7 O 0.3224 0.3224 0.5166
O8 O 0.1292 0.1292 0.0550
O9 O 0.2620 0.9330 0.7405
O10 O 0.5308 0.2104 0.8886
O11 O 0.7380 0.0670 0.2595
O12 O 0.9330 0.2620 0.7405
Cu1 Cu 0.8429 0.1571 0.5000
Cu2 Cu 0.7775 0.7775 0.7079
Cu3 Cu 0.1571 0.8429 0.5000
Cu4 Cu 0.2225 0.2225 0.2921
Ta1 Ta 0.2003 0.7997 0.0000
Ta2 Ta 0.7997 0.2003 0.0000
Ta3 Ta 0.7471 0.7471 0.2338
Ta4 Ta 0.2529 0.2529 0.7662
```

uncorrected energy: -8.25 eV/atom
density: 6.91 Mg/m³
ΔE_f: -2.50 eV/atom
crystal system: monoclinic
space-group type: C2/m, No. 12
total magnetic moment: 0.000 μB per formula unit


5.
A relaxed TaCuO4 crystal, computed with PBE.

```
data_TaCuO4
_space_group_name_H-M_alt 'P 1'
_space_group_IT_number 1
_cell_length_a 8.9985
_cell_length_b 6.5020
_cell_length_c 11.7366
_cell_angle_alpha 88.17
_cell_angle_beta 90.00
_cell_angle_gamma 90.00
loop_
_space_group_symop_operation_xyz
'x,y,z'
loop_
_atom_site_label
_atom_site_type_symbol
_atom_site_fract_x
_atom_site_fract_y
_atom_site_fract_z
O1 O 0.5148 0.6386 0.9126
O2 O 0.6161 0.2778 0.7981
O3 O 0.2513 0.4193 0.8744
O4 O 0.1161 0.7222 0.7019
O5 O 0.9852 0.6386 0.4126
O6 O 0.2855 0.0691 0.6281
O7 O 0.2487 0.4193 0.3744
O8 O 0.0148 0.3614 0.5874
O9 O 0.3839 0.7222 0.2019
O10 O 0.0153 0.1181 0.7755
O11 O 0.1545 0.8119 0.9577
O12 O 0.3455 0.8119 0.4577
O13 O 0.9295 0.4576 0.8848
O14 O 0.4852 0.3614 0.0874
O15 O 0.7487 0.5807 0.1256
O16 O 0.0705 0.5424 0.1152
O17 O 0.8455 0.1881 0.0423
O18 O 0.8839 0.2778 0.2981
O19 O 0.9847 0.8819 0.2245
O20 O 0.5753 0.8994 0.0669
O21 O 0.0753 0.1006 0.4331
O22 O 0.5153 0.8819 0.7245
O23 O 0.7145 0.9309 0.3719
O24 O 0.6545 0.1881 0.5423
O25 O 0.5705 0.4576 0.3848
O26 O 0.4847 0.1181 0.2755
O27 O 0.9247 0.8994 0.5669
O28 O 0.4247 0.1006 0.9331
O29 O 0.7513 0.5807 0.6256
O30 O 0.2145 0.0691 0.1281
O31 O 0.7855 0.9309 0.8719
O32 O 0.4295 0.5424 0.6152
Ta1 Ta 0.8953 0.3922 0.1436
Ta2 Ta 0.6047 0.3922 0.6436
Ta3 Ta 0.5763 0.9108 0.8738
Ta4 Ta 0.9237 0.9108 0.3738
Ta5 Ta 0.3953 0.6078 0.3564
Ta6 Ta 0.0763 0.0892 0.6262
Ta7 Ta 0.4237 0.0892 0.1262
Ta8 Ta 0.1047 0.6078 0.8564
Cu1 Cu 0.1136 0.8218 0.1100
Cu2 Cu 0.9565 0.6274 0.6103
Cu3 Cu 0.3864 0.8218 0.6100
Cu4 Cu 0.5435 0.6274 0.1103
Cu5 Cu 0.0435 0.3726 0.3897
Cu6 Cu 0.4565 0.3726 0.8897
Cu7 Cu 0.8864 0.1782 0.8900
Cu8 Cu 0.6136 0.1782 0.3900
```

uncorrected energy: -7.58 eV/atom
density: 5.97 Mg/m³
ΔE_f: -2.08 eV/atom
crystal system: monoclinic
space-group type: P2_1/c, No. 14
total magnetic moment: 0.000 μB per formula unit


6.
A relaxed Ta2Ti2Cu3O12 crystal, computed with PBE.

```
data_Ta2Ti2Cu3O12
_space_group_name_H-M_alt 'P 1'
_space_group_IT_number 1
_cell_length_a 6.4881
_cell_length_b 6.4881
_cell_length_c 7.5077
_cell_angle_alpha 54.99
_cell_angle_beta 54.99
_cell_angle_gamma 70.81
loop_
_space_group_symop_operation_xyz
'x,y,z'
loop_
_atom_site_label
_atom_site_type_symbol
_atom_site_fract_x
_atom_site_fract_y
_atom_site_fract_z
Cu1 Cu 0.5000 0.5000 0.5000
Cu2 Cu 0.0000 0.0000 0.5000
Cu3 Cu 0.5000 0.5000 0.0000
Ti1 Ti 0.5000 0.0000 0.5000
Ti2 Ti 0.0000 0.5000 0.5000
O1 O 0.5067 0.8719 0.3110
O2 O 0.4933 0.1281 0.6890
O3 O 0.8719 0.5067 0.3110
O4 O 0.1812 0.1812 0.1296
O5 O 0.8162 0.8162 0.4945
O6 O 0.3105 0.6890 0.1828
O7 O 0.3110 0.6895 0.8172
O8 O 0.6890 0.3105 0.1828
O9 O 0.6895 0.3110 0.8172
O10 O 0.1838 0.1838 0.5055
O11 O 0.1281 0.4933 0.6890
O12 O 0.8188 0.8188 0.8704
Ta1 Ta 0.0000 0.5000 0.0000
Ta2 Ta 0.5000 0.0000 0.0000
```

uncorrected energy: -7.99 eV/atom
density: 6.58 Mg/m³
ΔE_f: -2.57 eV/atom
crystal system: monoclinic
space-group type: C2/m, No. 12
total magnetic moment: 3.001 μB per formula unit


- Which of these has the lowest ΔE_f?
  Ta16Cu9O48


- Number 1 is which compound?
  Sr2Y2Cu2O7


- What is the uncorrected energy in the fifth record?
  -7.58 eV/atom


- What is the uncorrected energy in the first record?
  -6.89 eV/atom